Entry 1:
First-principles (GGA-PBE) data for crystalline GdScO3 at its relaxed geometry, as listed in Materials Project.

```
GdScO3
1.0
5.786 0.000 0.000
0.000 8.026 0.000
0.000 0.000 5.519
Gd Sc O
4 4 12
direct
0.060 0.250 0.019
0.440 0.750 0.519
0.560 0.250 0.481
0.940 0.750 0.981
0.000 0.000 0.500
0.000 0.500 0.500
0.500 0.000 0.000
0.500 0.500 0.000
0.052 0.750 0.376
0.196 0.565 0.806
0.196 0.935 0.806
0.304 0.065 0.306
0.304 0.435 0.306
0.448 0.250 0.876
0.552 0.750 0.124
0.696 0.565 0.694
0.696 0.935 0.694
0.804 0.065 0.194
0.804 0.435 0.194
0.948 0.250 0.624
```

## Properties
VASP energy, eV per atom: -10.559
Formation energy, eV per atom: -3.920

---

Entry 2:
First-principles (GGA-PBE) data for crystalline SrGd2Sc2O7 at its relaxed geometry, as listed in Materials Project.

```
SrGd2Sc2O7
1.0
-2.023 2.023 10.178
2.023 -2.023 10.178
2.023 2.023 -10.178
Sr Gd Sc O
1 2 2 7
direct
0.000 0.000 0.000
0.183 0.183 0.000
0.817 0.817 0.000
0.398 0.398 0.000
0.602 0.602 0.000
0.113 0.613 0.500
0.289 0.289 0.000
0.387 0.887 0.500
0.500 0.500 0.000
0.613 0.113 0.500
0.711 0.711 0.000
0.887 0.387 0.500
```

## Properties
VASP energy, eV per atom: -9.732
Formation energy, eV per atom: -3.704
Spin magnetization, μB per cell: 14.03

---

Entry 3:
First-principles (GGA-PBE) data for crystalline Gd2SiO5 at its relaxed geometry, as listed in Materials Project.

```
Gd2SiO5
1.0
9.225 0.000 0.000
0.000 7.112 0.000
-2.041 0.000 6.469
Gd Si O
8 4 20
direct
0.026 0.124 0.234
0.026 0.376 0.734
0.385 0.148 0.084
0.385 0.352 0.584
0.615 0.648 0.416
0.615 0.852 0.916
0.974 0.624 0.266
0.974 0.876 0.766
0.298 0.587 0.041
0.298 0.913 0.541
0.702 0.087 0.459
0.702 0.413 0.959
0.115 0.639 0.992
0.115 0.861 0.492
0.116 0.121 0.948
0.116 0.379 0.448
0.295 0.069 0.357
0.295 0.431 0.857
0.365 0.043 0.748
0.365 0.457 0.248
0.406 0.732 0.554
0.406 0.768 0.054
0.594 0.232 0.946
0.594 0.268 0.446
0.635 0.543 0.752
0.635 0.957 0.252
0.705 0.569 0.143
0.705 0.931 0.643
0.884 0.621 0.552
0.884 0.879 0.052
0.885 0.139 0.508
0.885 0.361 0.008
```

## Properties
VASP energy, eV per atom: -10.593
Formation energy, eV per atom: -3.733

---

Entry 4:
First-principles (GGA-PBE) data for crystalline Gd2Sn2O7 at its relaxed geometry, as listed in Materials Project.

```
Gd2Sn2O7
1.0
0.000 5.294 5.294
5.294 0.000 5.294
5.294 5.294 0.000
Gd Sn O
4 4 14
direct
0.000 0.000 0.000
0.000 0.000 0.500
0.000 0.500 0.000
0.500 0.000 0.000
0.000 0.500 0.500
0.500 0.000 0.500
0.500 0.500 0.000
0.500 0.500 0.500
0.125 0.125 0.125
0.163 0.163 0.587
0.163 0.587 0.163
0.163 0.587 0.587
0.413 0.413 0.837
0.413 0.837 0.413
0.413 0.837 0.837
0.587 0.163 0.163
0.587 0.163 0.587
0.587 0.587 0.163
0.837 0.413 0.413
0.837 0.413 0.837
0.837 0.837 0.413
0.875 0.875 0.875
```

## Properties
VASP energy, eV per atom: -8.995
Formation energy, eV per atom: -2.995

---

Entry 5:
First-principles (GGA-PBE) data for crystalline SrGdZrTiO6 at its relaxed geometry, as listed in Materials Project.

```
SrGdZrTiO6
1.0
0.000 4.055 4.055
4.055 0.000 4.055
4.055 4.055 0.000
Sr Gd Zr Ti O
1 1 1 1 6
direct
0.000 0.000 0.000
0.500 0.500 0.500
0.250 0.250 0.250
0.750 0.750 0.750
0.507 0.507 0.993
0.507 0.993 0.507
0.507 0.993 0.993
0.993 0.507 0.507
0.993 0.507 0.993
0.993 0.993 0.507
```

## Properties
VASP energy, eV per atom: -9.259
Formation energy, eV per atom: -3.481
Spin magnetization, μB per cell: 6.18

---

Entry 6:
First-principles (GGA-PBE) data for crystalline Gd3TaO7 at its relaxed geometry, as listed in Materials Project.

```
Gd3TaO7
1.0
3.785 -5.344 0.000
3.785 5.344 0.000
0.000 0.000 7.590
Gd Ta O
6 2 14
direct
0.019 0.019 0.000
0.034 0.500 0.253
0.500 0.034 0.747
0.500 0.966 0.247
0.966 0.500 0.753
0.981 0.981 0.500
0.499 0.499 0.500
0.501 0.501 0.000
0.129 0.871 0.750
0.138 0.862 0.250
0.177 0.422 0.972
0.187 0.439 0.536
0.422 0.177 0.028
0.437 0.563 0.250
0.439 0.187 0.464
0.561 0.813 0.964
0.563 0.437 0.750
0.578 0.823 0.528
0.813 0.561 0.036
0.823 0.578 0.472
0.862 0.138 0.750
0.871 0.129 0.250
```

## Properties
VASP energy, eV per atom: -11.430
Formation energy, eV per atom: -3.801

---

Entry 7:
First-principles (GGA-PBE) data for crystalline GdTa4O12 at its relaxed geometry, as listed in Materials Project.

```
GdTa4O12
1.0
7.943 0.000 0.000
0.000 3.950 3.953
0.000 -3.950 3.953
Gd Ta O
1 4 12
direct
0.000 0.000 0.000
0.257 0.034 0.529
0.257 0.529 0.034
0.743 0.034 0.529
0.743 0.529 0.034
0.000 0.039 0.557
0.000 0.557 0.039
0.226 0.800 0.800
0.228 0.275 0.800
0.228 0.800 0.275
0.236 0.285 0.285
0.500 0.027 0.547
0.500 0.547 0.027
0.764 0.285 0.285
0.772 0.275 0.800
0.772 0.800 0.275
0.774 0.800 0.800
```

## Properties
VASP energy, eV per atom: -9.940
Formation energy, eV per atom: -3.314
Spin magnetization, μB per cell: 6.00

---

Entry 8:
First-principles (GGA-PBE) data for crystalline Gd3TaO7 at its relaxed geometry, as listed in Materials Project.

```
Gd3TaO7
1.0
6.460 0.000 0.000
0.828 6.516 0.000
0.030 2.230 7.339
Gd Ta O
6 2 14
direct
0.045 0.008 0.250
0.236 0.543 0.109
0.240 0.536 0.616
0.760 0.464 0.384
0.764 0.457 0.891
0.955 0.992 0.750
0.500 0.000 0.000
0.500 0.000 0.500
0.044 0.637 0.842
0.059 0.651 0.334
0.211 0.931 0.549
0.211 0.933 0.983
0.416 0.046 0.238
0.424 0.318 0.452
0.428 0.325 0.893
0.572 0.675 0.107
0.576 0.682 0.548
0.584 0.954 0.762
0.789 0.067 0.017
0.789 0.069 0.451
0.941 0.349 0.666
0.956 0.363 0.158
```

## Properties
VASP energy, eV per atom: -11.432
Formation energy, eV per atom: -3.804

---

Entry 9:
First-principles (GGA-PBE) data for crystalline Gd3TaO7 at its relaxed geometry, as listed in Materials Project.

```
Gd3TaO7
1.0
7.572 0.000 0.000
0.000 10.757 0.000
0.000 0.000 7.613
Gd Ta O
12 4 28
direct
0.011 0.250 0.209
0.248 0.020 0.534
0.248 0.480 0.534
0.252 0.520 0.034
0.252 0.980 0.034
0.489 0.750 0.709
0.511 0.250 0.291
0.748 0.020 0.966
0.748 0.480 0.966
0.752 0.520 0.466
0.752 0.980 0.466
0.989 0.750 0.791
0.001 0.250 0.749
0.499 0.750 0.249
0.501 0.250 0.751
0.999 0.750 0.251
0.034 0.126 0.951
0.034 0.374 0.951
0.038 0.614 0.417
0.038 0.886 0.417
0.245 0.617 0.768
0.245 0.883 0.768
0.248 0.250 0.674
0.252 0.750 0.174
0.255 0.117 0.268
0.255 0.383 0.268
0.462 0.114 0.917
0.462 0.386 0.917
0.466 0.626 0.451
0.466 0.874 0.451
0.534 0.126 0.549
0.534 0.374 0.549
0.538 0.614 0.083
0.538 0.886 0.083
0.745 0.617 0.732
0.745 0.883 0.732
0.748 0.250 0.826
0.752 0.750 0.326
0.755 0.117 0.232
0.755 0.383 0.232
0.962 0.114 0.583
0.962 0.386 0.583
0.966 0.626 0.049
0.966 0.874 0.049
```

## Properties
VASP energy, eV per atom: -11.425
Formation energy, eV per atom: -3.796
Spin magnetization, μB per cell: 84.00

---

Entry 10:
First-principles (GGA-PBE) data for crystalline GdTa7O19 at its relaxed geometry, as listed in Materials Project.

```
GdTa7O19
1.0
6.270 0.000 0.000
-3.135 5.430 0.000
0.000 0.000 20.134
Gd Ta O
2 14 38
direct
0.000 0.000 0.000
0.000 0.000 0.500
0.027 0.334 0.156
0.027 0.334 0.344
0.027 0.693 0.656
0.027 0.693 0.844
0.307 0.334 0.656
0.307 0.334 0.844
0.307 0.973 0.156
0.307 0.973 0.344
0.333 0.667 0.000
0.333 0.667 0.500
0.666 0.693 0.156
0.666 0.693 0.344
0.666 0.973 0.656
0.666 0.973 0.844
0.000 0.000 0.131
0.000 0.000 0.369
0.000 0.000 0.631
0.000 0.000 0.869
0.040 0.291 0.250
0.040 0.749 0.750
0.095 0.381 0.056
0.095 0.381 0.444
0.095 0.715 0.556
0.095 0.715 0.944
0.251 0.291 0.750
0.251 0.960 0.250
0.285 0.381 0.556
0.285 0.381 0.944
0.285 0.905 0.056
0.285 0.905 0.444
0.333 0.667 0.167
0.333 0.667 0.333
0.333 0.667 0.667
0.333 0.667 0.833
0.420 0.087 0.653
0.420 0.087 0.847
0.420 0.333 0.153
0.420 0.333 0.347
0.619 0.715 0.056
0.619 0.715 0.444
0.619 0.905 0.556
0.619 0.905 0.944
0.667 0.087 0.153
0.667 0.087 0.347
0.667 0.580 0.653
0.667 0.580 0.847
0.709 0.749 0.250
0.709 0.960 0.750
0.913 0.333 0.653
0.913 0.333 0.847
0.913 0.580 0.153
0.913 0.580 0.347
```

## Properties
VASP energy, eV per atom: -10.011
Formation energy, eV per atom: -3.417
Spin magnetization, μB per cell: 14.00

---

Entry 11:
First-principles (GGA-PBE) data for crystalline GdTaO4 at its relaxed geometry, as listed in Materials Project.

```
GdTaO4
1.0
3.553 -5.604 0.000
3.553 5.604 0.000
-3.321 0.000 3.909
Gd Ta O
2 2 8
direct
0.132 0.868 0.750
0.868 0.132 0.250
0.400 0.600 0.250
0.600 0.400 0.750
0.138 0.553 0.340
0.228 0.291 0.792
0.291 0.228 0.292
0.447 0.862 0.160
0.553 0.138 0.840
0.709 0.772 0.708
0.772 0.709 0.208
0.862 0.447 0.660
```

## Properties
VASP energy, eV per atom: -10.852
Formation energy, eV per atom: -3.689

---

Entry 12:
First-principles (GGA-PBE) data for crystalline Gd3TaO7 at its relaxed geometry, as listed in Materials Project.

```
Gd3TaO7
1.0
5.387 -3.721 0.000
5.387 3.721 0.000
0.000 0.000 7.595
Gd Ta O
6 2 14
direct
0.000 0.000 0.000
0.000 0.000 0.500
0.060 0.481 0.750
0.481 0.060 0.250
0.519 0.940 0.750
0.940 0.519 0.250
0.500 0.500 0.000
0.500 0.500 0.500
0.109 0.154 0.250
0.154 0.109 0.750
0.181 0.562 0.036
0.181 0.562 0.464
0.424 0.576 0.750
0.438 0.819 0.036
0.438 0.819 0.464
0.562 0.181 0.536
0.562 0.181 0.964
0.576 0.424 0.250
0.819 0.438 0.536
0.819 0.438 0.964
0.846 0.891 0.250
0.891 0.846 0.750
```

## Properties
VASP energy, eV per atom: -11.414
Formation energy, eV per atom: -3.786
Spin magnetization, μB per cell: 42.00